Record 1
# PBE-GGA Na7Sc2In2SiP5O24, optimized geometry
data_Na7Sc2In2SiP5O24
_chemical_formula_sum 'Na21 Sc6 In6 Si3 P15 O72'
_symmetry_space_group_name_H-M 'P 1'
_symmetry_Int_Tables_number 1
_symmetry_space_group_name_Hall 'P 1'
_cell_length_a 9.141
_cell_length_b 9.143
_cell_length_c 22.578
_cell_angle_alpha 89.99
_cell_angle_beta 89.88
_cell_angle_gamma 60.02
loop_
_atom_site_label
_atom_site_type_symbol
_atom_site_fract_x
_atom_site_fract_y
_atom_site_fract_z
Na1 Na 0.000 0.000 0.000
Na2 Na 0.000 0.629 0.746
Na3 Na 0.004 0.268 0.495
Na4 Na 0.016 0.630 0.246
Na5 Na 0.037 0.942 0.332
Na6 Na 0.042 0.302 0.829
Na7 Na 0.304 0.301 0.330
Na8 Na 0.307 0.660 0.828
Na9 Na 0.341 0.335 0.666
Na10 Na 0.345 0.973 0.415
Na11 Na 0.346 0.971 0.914
Na12 Na 0.370 0.636 0.498
Na13 Na 0.378 0.264 0.995
Na14 Na 0.642 0.639 0.996
Na15 Na 0.662 0.306 0.081
Na16 Na 0.668 0.940 0.834
Na17 Na 0.673 0.301 0.580
Na18 Na 0.678 0.660 0.329
Na19 Na 0.708 0.966 0.161
Na20 Na 0.970 0.334 0.166
Na21 Na 0.975 0.966 0.662
Sc1 Sc 0.002 0.634 0.398
Sc2 Sc 0.335 0.969 0.263
Sc3 Sc 0.343 0.968 0.762
Sc4 Sc 0.344 0.965 0.064
Sc5 Sc 0.347 0.967 0.563
Sc6 Sc 0.998 0.636 0.598
In1 In 0.005 0.635 0.899
In2 In 0.010 0.637 0.098
In3 In 0.667 0.310 0.729
In4 In 0.669 0.309 0.231
In5 In 0.671 0.296 0.928
In6 In 0.676 0.292 0.430
Si1 Si 0.369 0.301 0.829
Si2 Si 0.706 0.935 0.998
Si3 Si 0.973 0.302 0.330
P1 P 0.007 0.334 0.998
P2 P 0.007 0.929 0.499
P3 P 0.043 0.967 0.164
P4 P 0.045 0.262 0.663
P5 P 0.300 0.341 0.498
P6 P 0.306 0.636 0.997
P7 P 0.338 0.673 0.662
P8 P 0.339 0.263 0.164
P9 P 0.373 0.599 0.333
P10 P 0.635 0.671 0.163
P11 P 0.637 0.966 0.664
P12 P 0.672 0.003 0.328
P13 P 0.672 0.599 0.831
P14 P 0.708 0.636 0.496
P15 P 0.973 0.003 0.828
O1 O 0.019 0.810 0.164
O2 O 0.028 0.824 0.442
O3 O 0.033 0.437 0.658
O4 O 0.044 0.407 0.942
O5 O 0.130 0.986 0.108
O6 O 0.133 0.151 0.607
O7 O 0.145 0.955 0.220
O8 O 0.153 0.178 0.719
O9 O 0.154 0.979 0.822
O10 O 0.162 0.154 0.005
O11 O 0.164 0.132 0.324
O12 O 0.170 0.945 0.502
O13 O 0.173 0.438 0.161
O14 O 0.174 0.657 0.659
O15 O 0.179 0.472 0.834
O16 O 0.192 0.425 0.442
O17 O 0.192 0.627 0.339
O18 O 0.201 0.670 0.939
O19 O 0.213 0.452 0.553
O20 O 0.226 0.593 0.049
O21 O 0.312 0.165 0.503
O22 O 0.316 0.778 0.719
O23 O 0.317 0.799 0.005
O24 O 0.318 0.177 0.220
O25 O 0.350 0.131 0.824
O26 O 0.354 0.764 0.607
O27 O 0.359 0.775 0.323
O28 O 0.360 0.156 0.108
O29 O 0.449 0.342 0.770
O30 O 0.449 0.478 0.279
O31 O 0.475 0.331 0.494
O32 O 0.483 0.526 0.389
O33 O 0.485 0.260 0.889
O34 O 0.488 0.482 0.992
O35 O 0.494 0.491 0.663
O36 O 0.505 0.273 0.167
O37 O 0.510 0.774 0.823
O38 O 0.516 0.955 0.003
O39 O 0.518 0.975 0.322
O40 O 0.519 0.992 0.612
O41 O 0.528 0.790 0.502
O42 O 0.534 0.760 0.107
O43 O 0.548 0.777 0.219
O44 O 0.558 0.947 0.722
O45 O 0.626 0.124 0.382
O46 O 0.641 0.526 0.889
O47 O 0.654 0.130 0.665
O48 O 0.659 0.490 0.164
O49 O 0.690 0.123 0.995
O50 O 0.692 0.472 0.495
O51 O 0.708 0.076 0.272
O52 O 0.712 0.478 0.778
O53 O 0.782 0.818 0.938
O54 O 0.788 0.655 0.438
O55 O 0.815 0.654 0.162
O56 O 0.818 0.812 0.658
O57 O 0.825 0.853 0.057
O58 O 0.826 0.611 0.549
O59 O 0.829 0.624 0.834
O60 O 0.834 0.828 0.337
O61 O 0.843 0.321 0.992
O62 O 0.850 0.111 0.497
O63 O 0.853 0.346 0.272
O64 O 0.861 0.085 0.773
O65 O 0.863 0.131 0.165
O66 O 0.870 0.271 0.667
O67 O 0.896 0.257 0.389
O68 O 0.901 0.114 0.885
O69 O 0.976 0.445 0.054
O70 O 0.987 0.827 0.834
O71 O 0.991 0.839 0.554
O72 O 0.995 0.470 0.337
# DFT total energy   -829.908 eV for the cell shown
# Volume   544.78 Å³/f.u.
# E_form   -11043 kJ/mol of formula units
# Crystal system   triclinic

***

Record 2
# PBE-GGA Mg2PdAu, optimized geometry
data_Mg2PdAu
_chemical_formula_sum 'Mg8 Pd4 Au4'
_symmetry_space_group_name_H-M 'F m -3 m'
_symmetry_Int_Tables_number 225
_symmetry_space_group_name_Hall '-F 4 2 3'
_cell_length_a 6.491
_cell_length_b 6.491
_cell_length_c 6.491
_cell_angle_alpha 90.00
_cell_angle_beta 90.00
_cell_angle_gamma 90.00
loop_
_atom_site_label
_atom_site_type_symbol
_atom_site_fract_x
_atom_site_fract_y
_atom_site_fract_z
Mg1 Mg 0.250 0.250 0.250
Pd1 Pd 0.000 0.000 0.000
Au1 Au 0.000 0.000 0.500
# DFT total energy   -57.402 eV for the cell shown
# Volume   68.38 Å³/f.u.
# E_form   -260 kJ/mol of formula units
# Crystal system   cubic

***

Record 3
# PBE-GGA Cs2ZrAg2Te4, optimized geometry
data_Cs2ZrAg2Te4
_chemical_formula_sum 'Cs4 Zr2 Ag4 Te8'
_symmetry_space_group_name_H-M 'C 2 2 2'
_symmetry_Int_Tables_number 21
_symmetry_space_group_name_Hall 'C 2 2'
_cell_length_a 6.680
_cell_length_b 15.580
_cell_length_c 6.664
_cell_angle_alpha 90.00
_cell_angle_beta 90.00
_cell_angle_gamma 90.00
loop_
_atom_site_label
_atom_site_type_symbol
_atom_site_fract_x
_atom_site_fract_y
_atom_site_fract_z
Cs1 Cs 0.250 0.250 0.241
Zr1 Zr 0.000 0.000 0.500
Ag1 Ag 0.000 0.000 0.000
Ag2 Ag 0.000 0.500 0.500
Te1 Te 0.239 0.104 0.738
# DFT total energy   -71.589 eV for the cell shown
# Volume   346.77 Å³/f.u.
# Maximum piezoelectric response   0.12 C/m2
# E_form   -859 kJ/mol of formula units
# Crystal system   orthorhombic

***

Record 4
# PBE-GGA ZnFe5N4, optimized geometry
data_ZnFe5N4
_chemical_formula_sum 'Zn2 Fe10 N8'
_symmetry_space_group_name_H-M 'P m m n'
_symmetry_Int_Tables_number 59
_cell_length_a 5.479
_cell_length_b 8.325
_cell_length_c 4.474
_cell_angle_alpha 90.00
_cell_angle_beta 90.00
_cell_angle_gamma 90.00
loop_
_symmetry_equiv_pos_as_xyz
'x,y,z'
'-x,-y,-z'
'-x+1/2,-y+1/2,z'
'x+1/2,y+1/2,-z'
'x+1/2,-y,-z'
'-x+1/2,y,z'
'-x,y+1/2,-z'
'x,-y+1/2,z'
loop_
_atom_site_label
_atom_site_type_symbol
_atom_site_fract_x
_atom_site_fract_y
_atom_site_fract_z
Zn1 Zn 0.250 0.250 0.211
Fe1 Fe 0.007 0.055 0.755
Fe2 Fe 0.250 0.750 0.676
N1 N 0.004 0.250 0.587
N2 N 0.250 0.572 0.956
# DFT total energy   -150.010 eV for the cell shown
# Volume   102.04 Å³/f.u.
# E_form   49 kJ/mol of formula units
# Crystal system   orthorhombic

***

Question: Number 1 is which compound?
Answer: Na7Sc2In2SiP5O24

***

Question: Which of these has the lowest volume?
Answer: Mg2PdAu

***

Question: The highest E_form belongs to which entry?
Answer: ZnFe5N4